Entry 1:
Below is a geometry-optimized Mn2ZnO4 structure, with properties calculated at the PBE with a Hubbard U level.

Cell lengths 5.165, 5.165, 9.734 Å; angles 90.00, 90.00, 146.27 degrees
Element x y z (fractional)
Mn 0.868 0.132 0.929
Mn 0.132 0.868 0.429
Mn 0.132 0.868 0.071
Mn 0.868 0.132 0.571
O 0.040 0.960 0.250
O 0.222 0.778 0.888
O 0.500 0.500 0.000
O 0.222 0.778 0.612
O 0.960 0.040 0.750
O 0.500 0.500 0.500
O 0.778 0.222 0.388
O 0.778 0.222 0.112
Zn 0.610 0.390 0.750
Zn 0.390 0.610 0.250

## Properties
The space group is Cmcm (63). For the total energy, the calculation gives -6.584 eV per atom. The energy relative to the lowest polymorph listed for this composition is 1.08 eV/f.u.


Entry 2:
Below is a geometry-optimized Ba2Fe2O5 structure, with properties calculated at the PBE with a Hubbard U level.

Cell lengths 5.807, 5.916, 9.186 Å; angles 108.79, 108.43, 90.00 degrees
Element x y z (fractional)
O 0.253 0.757 0.009
O 0.244 0.243 0.991
O 0.628 0.603 0.281
O 0.753 0.752 0.009
O 0.847 0.823 0.719
O 0.593 0.091 0.500
O 0.093 0.909 0.500
O 0.744 0.248 0.991
O 0.347 0.397 0.719
O 0.128 0.177 0.281
Ba 0.388 0.878 0.776
Ba 0.612 0.122 0.224
Ba 0.888 0.398 0.776
Ba 0.112 0.602 0.224
Fe 0.775 0.819 0.500
Fe 0.275 0.181 0.500
Fe 0.997 0.000 0.000
Fe 0.497 0.500 0.000

## Properties
The space group is Ima2 (46). For the total energy, the calculation gives -6.437 eV per atom.


Entry 3:
Below is a geometry-optimized Li2CrP4O12 structure, with properties calculated at the PBE with a Hubbard U level.

Cell lengths 8.503, 8.503, 7.461 Å; angles 88.37, 88.37, 114.59 degrees
Element x y z (fractional)
O 0.886 0.833 0.675
O 0.377 0.623 0.750
O 0.295 0.611 0.425
O 0.938 0.675 0.022
O 0.358 0.152 0.142
O 0.675 0.938 0.522
O 0.611 0.295 0.925
O 0.389 0.705 0.075
O 0.878 0.122 0.750
O 0.114 0.167 0.325
O 0.379 0.916 0.820
O 0.325 0.062 0.478
O 0.705 0.389 0.575
O 0.623 0.377 0.250
O 0.848 0.642 0.358
O 0.621 0.084 0.180
O 0.152 0.358 0.642
O 0.642 0.848 0.858
O 0.062 0.325 0.978
O 0.916 0.379 0.320
O 0.122 0.878 0.250
O 0.084 0.621 0.680
O 0.167 0.114 0.825
O 0.833 0.886 0.175
P 0.228 0.072 0.317
P 0.928 0.772 0.183
P 0.221 0.562 0.613
P 0.438 0.779 0.887
P 0.772 0.928 0.683
P 0.072 0.228 0.817
P 0.562 0.221 0.113
P 0.779 0.438 0.387
Cr 0.871 0.129 0.250
Cr 0.129 0.871 0.750
Li 0.503 0.820 0.313
Li 0.497 0.180 0.687
Li 0.180 0.497 0.187
Li 0.820 0.503 0.813

## Properties
The space group is C2/c (15). For the total energy, the calculation gives -7.046 eV per atom. The energy relative to the lowest polymorph listed for this composition is 0.04 eV/f.u.


Entry 4:
Below is a geometry-optimized Li4VCr3O8 structure, with properties calculated at the PBE with a Hubbard U level.

Cell lengths 5.956, 5.956, 5.144 Å; angles 73.25, 73.25, 60.14 degrees
Element x y z (fractional)
Li 0.249 0.249 0.502
Li 0.752 0.248 0.500
Li 0.751 0.751 0.498
Li 0.248 0.752 0.500
Cr 0.000 0.000 0.000
Cr 0.500 0.000 0.000
Cr 0.000 0.500 0.000
O 0.369 0.872 0.775
O 0.631 0.128 0.225
O 0.870 0.870 0.776
O 0.872 0.369 0.775
O 0.370 0.370 0.774
O 0.130 0.130 0.224
O 0.630 0.630 0.226
O 0.128 0.631 0.225
V 0.500 0.500 0.000

## Properties
The space group is C2/m (12). For the total energy, the calculation gives -6.919 eV per atom. The energy relative to the lowest polymorph listed for this composition is 0.17 eV/f.u.


Entry 5:
Below is a geometry-optimized Ba8V7O22 structure, with properties calculated at the PBE with a Hubbard U level.

Cell lengths 19.777, 19.777, 19.777 Å; angles 17.12, 17.12, 17.12 degrees
Element x y z (fractional)
V 0.744 0.744 0.744
V 0.535 0.535 0.535
V 0.256 0.256 0.256
V 0.465 0.465 0.465
V 0.045 0.045 0.045
V 0.000 0.000 0.000
V 0.955 0.955 0.955
O 0.283 0.826 0.826
O 0.407 0.896 0.896
O 0.800 0.314 0.314
O 0.174 0.717 0.174
O 0.826 0.283 0.826
O 0.226 0.226 0.226
O 0.896 0.407 0.896
O 0.896 0.896 0.407
O 0.104 0.104 0.593
O 0.314 0.800 0.314
O 0.436 0.436 0.436
O 0.564 0.564 0.564
O 0.200 0.686 0.686
O 0.593 0.104 0.104
O 0.314 0.314 0.800
O 0.826 0.826 0.283
O 0.174 0.174 0.717
O 0.104 0.593 0.104
O 0.717 0.174 0.174
O 0.774 0.774 0.774
O 0.686 0.200 0.686
O 0.686 0.686 0.200
Ba 0.106 0.106 0.106
Ba 0.319 0.319 0.319
Ba 0.388 0.388 0.388
Ba 0.894 0.894 0.894
Ba 0.819 0.819 0.819
Ba 0.681 0.681 0.681
Ba 0.181 0.181 0.181
Ba 0.612 0.612 0.612

## Properties
The space group is R-3m (166). For the total energy, the calculation gives -7.237 eV per atom.


Entry 6:
Below is a geometry-optimized CaFe2O5 structure, with properties calculated at the PBE with a Hubbard U level.

Cell lengths 3.618, 5.279, 11.428 Å; angles 90.00, 90.00, 90.00 degrees
Element x y z (fractional)
O 0.750 0.570 0.427
O 0.750 0.918 0.651
O 0.750 0.570 0.073
O 0.250 0.430 0.573
O 0.750 0.918 0.849
O 0.250 0.082 0.151
O 0.250 0.430 0.927
O 0.250 0.082 0.349
O 0.250 0.565 0.250
O 0.750 0.436 0.750
Fe 0.250 0.413 0.100
Fe 0.250 0.413 0.400
Fe 0.750 0.587 0.600
Fe 0.750 0.587 0.900
Ca 0.250 0.133 0.750
Ca 0.750 0.867 0.250

## Properties
The space group is Pmmn (59). For the total energy, the calculation gives -6.287 eV per atom. The energy relative to the lowest polymorph listed for this composition is 0.00 eV/f.u.


Entry 7:
Below is a geometry-optimized Sr2CaMoO6 structure, with properties calculated at the PBE with a Hubbard U level.

Cell lengths 5.892, 5.953, 8.353 Å; angles 90.00, 90.00, 90.00 degrees
Element x y z (fractional)
O 0.730 0.726 0.500
O 0.000 0.959 0.232
O 0.735 0.264 0.500
O 0.000 0.959 0.768
O 0.265 0.264 0.500
O 0.500 0.482 0.268
O 0.500 0.482 0.732
O 0.778 0.723 0.000
O 0.245 0.181 0.000
O 0.270 0.726 0.500
O 0.755 0.181 0.000
O 0.222 0.723 0.000
Ca 0.000 0.997 0.500
Ca 0.500 0.473 0.000
Sr 0.500 0.990 0.249
Sr 0.500 0.990 0.751
Sr 0.000 0.519 0.746
Sr 0.000 0.519 0.254
Mo 0.500 0.490 0.500
Mo 0.000 0.971 0.000

## Properties
The space group is Pmm2 (25). For the total energy, the calculation gives -6.708 eV per atom.


Entry 8:
Below is a geometry-optimized NaSrGdMnO6 structure, with properties calculated at the PBE with a Hubbard U level.

Cell lengths 5.816, 5.816, 5.816 Å; angles 60.00, 60.00, 60.00 degrees
Element x y z (fractional)
O 0.269 0.731 0.731
O 0.269 0.269 0.731
O 0.731 0.269 0.269
O 0.731 0.269 0.731
O 0.269 0.731 0.269
O 0.731 0.731 0.269
Sr 0.750 0.750 0.750
Gd 0.000 0.000 0.000
Na 0.250 0.250 0.250
Mn 0.500 0.500 0.500

## Properties
The space group is F-43m (216). For the total energy, the calculation gives -7.379 eV per atom.


Number 1: calculated formation energy -1.83 eV per atom. Number 2: calculated formation energy -2.26 eV per atom. Number 3: calculated formation energy -2.61 eV per atom. Number 4: calculated formation energy -2.41 eV per atom. Number 5: calculated formation energy -2.89 eV per atom. Number 6: calculated formation energy -1.82 eV per atom. Number 7: calculated formation energy -2.85 eV per atom. Number 8: calculated formation energy -2.36 eV per atom.